Run A
Li2VPCO7 | PBE+U | optimized geometry

Calculated volume = 11.54 A^3/atom

Cell: 6.401 9.682 10.064 Å, 117.34 90.00 90.00°
Sites, in units of the cell vectors:
Li  0.003  0.783  0.778
Li  0.003  0.783  0.278
Li  0.997  0.217  0.222
Li  0.997  0.217  0.721
Li  0.503  0.217  0.222
Li  0.503  0.217  0.721
Li  0.497  0.783  0.778
Li  0.497  0.783  0.278
V  0.750  0.344  0.070
V  0.250  0.656  0.930
V  0.750  0.344  0.570
V  0.250  0.656  0.430
P  0.250  0.418  0.570
P  0.250  0.419  0.070
P  0.750  0.581  0.430
P  0.750  0.582  0.930
C  0.750  0.060  0.397
C  0.750  0.060  0.897
C  0.250  0.940  0.603
C  0.250  0.940  0.103
O  0.750  0.116  0.543
O  0.750  0.116  0.043
O  0.250  0.884  0.457
O  0.250  0.884  0.957
O  0.250  0.831  0.649
O  0.250  0.831  0.149
O  0.750  0.169  0.351
O  0.750  0.169  0.851
O  0.750  0.416  0.293
O  0.750  0.416  0.793
O  0.250  0.584  0.707
O  0.250  0.584  0.207
O  0.250  0.437  0.426
O  0.250  0.437  0.925
O  0.750  0.563  0.575
O  0.750  0.563  0.075
O  0.750  0.916  0.807
O  0.750  0.916  0.307
O  0.250  0.084  0.193
O  0.250  0.084  0.693
O  0.942  0.674  0.422
O  0.942  0.675  0.922
O  0.558  0.674  0.422
O  0.558  0.675  0.922
O  0.442  0.325  0.578
O  0.443  0.326  0.078
O  0.058  0.325  0.578
O  0.058  0.326  0.078

Run B
Li2VPCO7 | PBE+U | optimized geometry

Calculated volume = 11.44 A^3/atom
Symmetry = P2_1 (4)

Cell: 5.088 6.451 8.414 Å, 90.00 96.11 90.00°
Sites, in units of the cell vectors:
Li  0.213  0.000  0.101
Li  0.270  0.287  0.723
Li  0.730  0.787  0.277
Li  0.787  0.500  0.899
V  0.201  0.488  0.324
V  0.799  0.988  0.676
P  0.269  0.992  0.417
P  0.731  0.492  0.583
C  0.320  0.497  0.045
C  0.680  0.997  0.955
O  0.071  0.485  0.072
O  0.138  0.013  0.572
O  0.155  0.809  0.310
O  0.211  0.182  0.304
O  0.401  0.470  0.909
O  0.429  0.461  0.543
O  0.483  0.533  0.175
O  0.517  0.033  0.825
O  0.571  0.961  0.457
O  0.599  0.970  0.091
O  0.789  0.682  0.696
O  0.845  0.309  0.690
O  0.862  0.513  0.428
O  0.929  0.985  0.928

It is run A that is the least stable of them.

Run A
Li2VOF3 | PBE+U | optimized geometry

Calculated volume = 10.76 A^3/atom
Symmetry = Pnc2 (30)

Cell: 5.179 5.019 11.596 Å, 90.00 90.00 90.00°
Sites, in units of the cell vectors:
Li  0.000  0.000  0.000
Li  0.000  0.000  0.420
Li  0.000  0.500  0.500
Li  0.000  0.500  0.920
Li  0.500  0.000  0.275
Li  0.500  0.000  0.849
Li  0.500  0.500  0.349
Li  0.500  0.500  0.775
V  0.000  0.000  0.685
V  0.000  0.500  0.185
V  0.500  0.000  0.556
V  0.500  0.500  0.056
O  0.179  0.200  0.567
O  0.179  0.300  0.067
O  0.821  0.700  0.067
O  0.821  0.800  0.567
F  0.180  0.217  0.815
F  0.180  0.283  0.315
F  0.328  0.722  0.930
F  0.328  0.778  0.430
F  0.337  0.725  0.188
F  0.337  0.775  0.688
F  0.663  0.225  0.688
F  0.663  0.275  0.188
F  0.672  0.222  0.430
F  0.672  0.278  0.930
F  0.820  0.717  0.315
F  0.820  0.783  0.815

Run B
Li2VOF3 | PBE+U | optimized geometry

Calculated volume = 10.60 A^3/atom
Symmetry = P1 (1)

Cell: 5.055 6.006 9.826 Å, 84.32 89.82 89.79°
Sites, in units of the cell vectors:
Li  0.000  0.000  0.000
Li  0.001  0.497  0.503
Li  0.002  0.413  0.859
Li  0.007  0.913  0.365
Li  0.529  0.168  0.098
Li  0.532  0.737  0.251
Li  0.535  0.250  0.751
Li  0.539  0.663  0.611
V  0.545  0.103  0.468
V  0.546  0.604  0.968
V  0.992  0.352  0.220
V  0.995  0.852  0.717
O  0.726  0.650  0.798
O  0.732  0.176  0.309
O  0.810  0.397  0.047
O  0.819  0.892  0.547
F  0.181  0.073  0.162
F  0.185  0.567  0.662
F  0.211  0.791  0.904
F  0.212  0.293  0.404
F  0.324  0.537  0.152
F  0.331  0.037  0.653
F  0.356  0.319  0.912
F  0.363  0.823  0.410
F  0.667  0.371  0.565
F  0.668  0.876  0.067
F  0.869  0.124  0.813
F  0.873  0.630  0.310

It is run A that is the least stable of them.

Run A
Li3Fe4O3F5 | PBE+U | optimized geometry

Calculated volume = 10.80 A^3/atom
Symmetry = P1 (1)

Cell: 6.002 6.121 6.123 Å, 119.94 90.28 118.65°
Sites, in units of the cell vectors:
Li  0.000  0.000  0.000
Li  0.005  0.515  0.489
Li  0.499  0.008  0.994
Fe  0.018  0.463  0.016
Fe  0.479  0.536  0.480
Fe  0.486  0.485  0.003
Fe  0.998  0.004  0.494
O  0.226  0.996  0.228
O  0.227  0.997  0.724
O  0.765  0.009  0.262
F  0.245  0.463  0.766
F  0.245  0.556  0.215
F  0.742  0.548  0.213
F  0.746  0.453  0.767
F  0.766  0.011  0.758

Run B
Li3Fe4O3F5 | PBE+U | optimized geometry

Calculated volume = 10.80 A^3/atom
Symmetry = P1 (1)

Cell: 6.002 6.121 6.123 Å, 119.94 90.28 118.65°
Sites, in units of the cell vectors:
Li  0.000  0.000  0.000
Li  0.005  0.494  0.489
Li  0.499  0.996  0.994
Fe  0.018  0.496  0.016
Fe  0.479  0.495  0.480
Fe  0.486  0.491  0.003
Fe  0.998  0.991  0.494
O  0.226  0.453  0.228
O  0.227  0.446  0.724
O  0.765  0.533  0.262
F  0.245  0.986  0.215
F  0.245  0.994  0.766
F  0.742  0.973  0.213
F  0.746  0.987  0.767
F  0.766  0.526  0.758

It is run A that is the least stable of them.

Run A
Ba2La2Fe2Cu2O11 | PBE+U | optimized geometry

Calculated volume = 13.22 A^3/atom
Symmetry = P4mm (99)

Cell: 5.603 5.603 16.008 Å, 90.00 90.00 90.00°
Sites, in units of the cell vectors:
Ba  0.000  0.500  0.000
Ba  0.000  0.500  0.252
Ba  0.500  0.000  0.000
Ba  0.500  0.000  0.252
La  0.000  0.500  0.502
La  0.000  0.500  0.749
La  0.500  0.000  0.502
La  0.500  0.000  0.749
Fe  0.000  0.000  0.113
Fe  0.000  0.000  0.631
Fe  0.500  0.500  0.382
Fe  0.500  0.500  0.860
Cu  0.000  0.000  0.389
Cu  0.000  0.000  0.874
Cu  0.500  0.500  0.141
Cu  0.500  0.500  0.626
O  0.000  0.000  0.515
O  0.000  0.000  0.751
O  0.000  0.000  0.997
O  0.245  0.245  0.392
O  0.245  0.755  0.392
O  0.247  0.247  0.131
O  0.247  0.247  0.631
O  0.247  0.753  0.131
O  0.247  0.753  0.631
O  0.259  0.259  0.869
O  0.259  0.741  0.869
O  0.500  0.500  0.266
O  0.500  0.500  0.504
O  0.500  0.500  0.745
O  0.741  0.259  0.869
O  0.741  0.741  0.869
O  0.753  0.247  0.131
O  0.753  0.247  0.631
O  0.753  0.753  0.131
O  0.753  0.753  0.631
O  0.755  0.245  0.392
O  0.755  0.755  0.392

Run B
Ba2La2Fe2Cu2O11 | PBE+U | optimized geometry

Calculated volume = 13.11 A^3/atom
Symmetry = P4mm (99)

Cell: 5.604 5.604 7.935 Å, 90.00 90.00 90.00°
Sites, in units of the cell vectors:
Ba  0.000  0.500  0.000
Ba  0.500  0.000  0.000
La  0.000  0.500  0.495
La  0.500  0.000  0.495
Fe  0.000  0.000  0.249
Fe  0.500  0.500  0.727
Cu  0.000  0.000  0.752
Cu  0.500  0.500  0.257
O  0.000  0.000  0.005
O  0.000  0.000  0.500
O  0.255  0.255  0.264
O  0.255  0.745  0.264
O  0.259  0.259  0.743
O  0.259  0.741  0.743
O  0.500  0.500  0.500
O  0.741  0.259  0.743
O  0.741  0.741  0.743
O  0.745  0.255  0.264
O  0.745  0.745  0.264

It is run B that is the least stable of them.

Run A
Li4Co5SnO12 | PBE+U | optimized geometry

Calculated volume = 10.04 A^3/atom
Symmetry = P-1 (2)

Cell: 5.056 8.831 10.823 Å, 113.14 95.39 90.75°
Sites, in units of the cell vectors:
Li  0.196  0.460  0.248
Li  0.197  0.792  0.248
Li  0.294  0.041  0.755
Li  0.298  0.715  0.754
Li  0.702  0.285  0.246
Li  0.706  0.959  0.245
Li  0.803  0.208  0.752
Li  0.804  0.540  0.752
Co  0.000  0.162  0.000
Co  0.000  0.500  0.000
Co  0.000  0.838  0.000
Co  0.250  0.583  0.500
Co  0.250  0.917  0.500
Co  0.498  0.328  0.996
Co  0.500  0.000  0.000
Co  0.502  0.672  0.004
Co  0.750  0.083  0.500
Co  0.750  0.417  0.500
Sn  0.251  0.250  0.500
Sn  0.749  0.750  0.500
O  0.050  0.020  0.393
O  0.050  0.376  0.393
O  0.084  0.698  0.394
O  0.147  0.264  0.890
O  0.147  0.612  0.896
O  0.166  0.941  0.895
O  0.317  0.551  0.106
O  0.370  0.209  0.104
O  0.371  0.893  0.108
O  0.415  0.802  0.606
O  0.451  0.124  0.607
O  0.451  0.480  0.607
O  0.549  0.520  0.393
O  0.549  0.876  0.393
O  0.585  0.198  0.394
O  0.629  0.107  0.892
O  0.630  0.791  0.896
O  0.683  0.449  0.894
O  0.834  0.059  0.105
O  0.853  0.388  0.104
O  0.853  0.736  0.110
O  0.916  0.302  0.606
O  0.950  0.624  0.607
O  0.950  0.980  0.607

Run B
Li4Co5SnO12 | PBE+U | optimized geometry

Calculated volume = 9.54 A^3/atom
Symmetry = C2/m (12)

Cell: 5.001 5.001 9.832 Å, 94.68 94.68 120.08°
Sites, in units of the cell vectors:
Li  0.079  0.747  0.741
Li  0.253  0.921  0.259
Li  0.747  0.079  0.741
Li  0.921  0.253  0.259
Co  0.000  0.000  0.500
Co  0.167  0.833  0.000
Co  0.334  0.666  0.500
Co  0.666  0.334  0.500
Co  0.833  0.167  0.000
Sn  0.500  0.500  0.000
O  0.026  0.362  0.601
O  0.107  0.107  0.889
O  0.179  0.536  0.111
O  0.291  0.291  0.398
O  0.362  0.026  0.601
O  0.464  0.821  0.889
O  0.536  0.179  0.111
O  0.638  0.974  0.399
O  0.709  0.709  0.602
O  0.821  0.464  0.889
O  0.893  0.893  0.111
O  0.974  0.638  0.399

It is run A that is the least stable of them.